Compound: CrP2H15O14
Source: the Materials Project
Functional: PBE with a Hubbard U
Structure: optimized geometry

```
64
Lattice="7.091 0.000 0.000 3.202 8.334 0.000 0.156 4.033 9.881" Properties=species:S:1:pos:R:3 pbc="T T T"
Cr 1.951 1.632 2.254
Cr 8.497 10.735 7.627
P 3.651 8.579 7.091
P 3.881 10.061 9.595
P 6.567 2.306 0.286
P 6.798 3.788 2.789
H 1.531 5.534 8.189
H 1.335 3.987 8.125
H 2.128 4.127 4.470
H 2.272 4.765 5.925
H 4.412 9.107 4.634
H 2.915 3.757 0.972
H 4.261 7.880 3.569
H 3.873 5.965 2.465
H 3.793 5.719 4.040
H 5.595 7.674 0.849
H 3.795 2.426 0.582
H 3.488 4.319 8.171
H 4.593 6.665 6.685
H 3.450 3.074 5.847
H 6.101 10.026 6.476
H 4.347 2.341 3.404
H 6.998 9.293 4.034
H 5.856 5.702 3.196
H 6.960 8.048 1.709
H 6.653 9.941 9.299
H 4.854 4.693 9.032
H 6.656 6.648 5.841
H 6.576 6.402 7.416
H 6.188 4.487 6.312
H 7.534 8.610 8.908
H 6.036 3.260 5.246
H 8.176 7.602 3.956
H 8.320 8.240 5.410
H 9.114 8.380 1.756
H 8.917 6.833 1.692
O 0.359 1.322 1.089
O 1.157 3.333 3.007
O 3.112 5.533 1.024
O 1.907 4.711 7.786
O 4.200 8.877 3.675
O 2.780 4.490 5.120
O 4.012 8.714 8.656
O 3.654 7.026 6.834
O 2.886 2.763 0.880
O 4.691 9.285 6.255
O 4.301 6.211 3.348
O 5.288 10.625 9.728
O 6.003 8.302 1.538
O 3.520 1.772 3.514
O 6.929 10.595 6.367
O 4.446 4.065 8.343
O 5.161 1.742 0.152
O 6.147 6.156 6.533
O 5.757 3.082 3.626
O 7.563 9.604 9.000
O 6.795 5.341 3.047
O 6.437 3.653 1.225
O 7.669 7.877 4.761
O 6.249 3.490 6.206
O 8.542 7.656 2.094
O 7.337 6.834 8.857
O 9.291 9.034 6.874
O 10.090 11.045 8.792
```

Calculated values
Electronic total energy: -5.708 eV/atom
Symmetry: P-1, No. 2

Compound: FeOF
Source: the Materials Project
Functional: PBE with a Hubbard U
Structure: optimized geometry

```
18
Lattice="5.683 0.000 0.000 2.002 5.328 0.000 2.644 1.848 6.959" Properties=species:S:1:pos:R:3 pbc="T T T"
Fe 0.000 0.000 0.000
Fe 1.442 1.044 3.434
Fe 3.070 2.108 1.178
Fe 4.618 2.941 4.678
Fe 7.170 5.014 5.751
Fe 6.083 4.227 2.428
O 3.116 3.744 0.020
O 4.952 5.810 2.336
O 6.065 4.142 4.380
O 5.594 1.305 4.660
O 4.609 1.598 0.000
O 7.185 2.603 2.303
F 3.331 4.556 4.656
F 2.773 1.872 4.893
F 4.359 3.009 6.685
F 4.385 3.007 2.624
F 6.059 4.184 0.321
F 7.774 5.370 2.078
```

Calculated values
Electronic total energy: -5.995 eV/atom
Symmetry: P1, No. 1

Compound: V4O3F9
Source: the Materials Project
Functional: PBE with a Hubbard U
Structure: optimized geometry

```
16
Lattice="4.709 -2.626 0.000 4.709 2.626 0.000 -2.836 0.000 8.621" Properties=species:S:1:pos:R:3 pbc="T T T"
V -0.001 0.000 3.271
V 3.220 -0.203 1.118
V 3.362 -0.203 7.503
V 6.584 0.000 5.349
O 4.042 -1.513 1.792
O 2.541 -1.513 6.829
O 3.291 -2.262 4.310
F 3.843 1.022 2.535
F 2.740 1.022 6.085
F 1.564 -0.514 2.149
F 4.709 0.439 0.000
F 0.810 -1.120 4.710
F -0.377 -1.162 8.204
F 5.019 -0.514 6.472
F 5.772 -1.120 3.911
F 6.960 -1.162 0.417
```

Calculated values
Electronic total energy: -6.409 eV/atom
Symmetry: C2, No. 5

Compound: V3O5F
Source: the Materials Project
Functional: PBE with a Hubbard U
Structure: optimized geometry

```
18
Lattice="3.212 -10.024 0.000 3.212 10.024 0.000 0.000 0.000 2.992" Properties=species:S:1:pos:R:3 pbc="T T T"
V 0.000 0.000 0.000
V 3.212 6.796 1.496
V 3.212 3.567 0.000
V 3.212 0.000 1.496
V 3.212 -3.567 0.000
V 3.212 -6.796 1.496
O 1.345 3.319 0.000
O 3.212 8.729 1.496
O 3.212 4.747 1.496
O 1.948 0.000 0.000
O 1.345 -3.319 0.000
O 5.079 3.319 0.000
O 4.475 0.000 0.000
O 3.212 -4.747 1.496
O 3.212 -8.729 1.496
O 5.079 -3.319 0.000
F 3.212 2.084 1.496
F 3.212 -2.084 1.496
```

Calculated values
Electronic total energy: -7.556 eV/atom
Symmetry: Cmmm, No. 65

Compound: Li3CoPO5
Source: the Materials Project
Functional: PBE with a Hubbard U
Structure: optimized geometry

```
40
Lattice="5.434 0.000 0.000 0.000 15.783 0.000 0.000 0.000 4.966" Properties=species:S:1:pos:R:3 pbc="T T T"
Li 0.881 1.515 0.000
Li 0.912 11.013 4.890
Li 0.918 7.933 4.965
Li 1.800 0.041 2.482
Li 1.806 3.121 2.406
Li 1.836 9.406 2.483
Li 3.599 6.377 0.000
Li 3.629 12.662 4.890
Li 3.635 15.742 4.965
Li 4.517 7.851 2.482
Li 4.523 4.770 2.406
Li 4.553 14.268 2.483
Co 0.947 4.681 4.960
Co 1.771 12.573 2.477
Co 3.664 3.211 4.960
Co 4.488 11.102 2.477
P 0.904 14.232 4.933
P 1.813 6.340 2.450
P 3.622 9.443 4.933
P 4.530 1.551 2.450
O 0.564 1.552 2.953
O 0.897 10.958 2.962
O 0.935 14.265 3.367
O 1.032 7.577 2.984
O 1.098 5.024 2.922
O 1.619 12.915 0.439
O 1.686 15.468 0.501
O 1.782 6.374 0.884
O 1.820 3.066 0.479
O 2.153 9.444 0.470
O 3.281 6.340 2.953
O 3.614 12.717 2.962
O 3.652 9.409 3.367
O 3.749 0.315 2.984
O 3.815 2.868 2.922
O 4.336 10.759 0.439
O 4.403 8.206 0.501
O 4.499 1.518 0.884
O 4.537 4.825 0.479
O 4.871 14.231 0.470
```

Calculated values
Electronic total energy: -6.191 eV/atom
Symmetry: Pna2_1, No. 33

Compound: Li3V3P8O29
Source: the Materials Project
Functional: PBE with a Hubbard U
Structure: optimized geometry

```
86
Lattice="9.734 0.000 0.000 4.855 8.474 0.000 0.047 0.120 14.217" Properties=species:S:1:pos:R:3 pbc="T T T"
Li 0.000 0.000 0.000
Li 2.249 3.867 7.259
Li 4.236 5.618 0.746
Li 3.533 2.911 1.625
Li 4.907 3.032 8.891
Li 6.819 5.039 7.121
V 2.063 1.985 4.428
V 1.466 0.921 11.433
V 8.466 5.723 4.281
V 6.438 2.056 11.593
V 9.711 5.750 11.593
V 6.942 0.872 4.434
P 2.222 3.836 10.280
P 4.851 8.335 3.111
P 6.156 7.594 5.692
P 3.563 3.065 12.804
P 6.739 6.464 12.804
P 4.893 3.001 5.774
P 6.089 3.787 3.166
P 6.885 5.001 10.206
P 4.208 0.095 2.738
P 4.271 0.106 9.837
P 9.047 2.921 6.066
P 9.150 2.916 13.223
P 11.299 6.414 5.688
P 12.085 7.615 12.771
P 13.233 8.383 10.122
P 11.408 4.965 3.069
O 0.754 1.215 3.356
O 0.180 0.187 10.338
O 2.127 3.473 3.209
O 5.165 7.722 1.797
O 3.038 3.710 9.026
O 3.212 4.010 11.537
O 5.360 7.707 6.915
O 5.269 7.395 4.333
O 3.324 3.798 14.078
O 3.347 2.837 5.730
O 6.290 7.963 12.719
O 2.760 1.770 12.611
O 2.126 0.440 5.382
O 2.797 0.173 10.485
O 3.517 1.396 3.346
O 6.093 5.817 13.967
O 5.131 3.933 2.036
O 6.211 5.826 11.409
O 5.270 3.981 4.561
O 5.365 3.630 7.052
O 6.595 5.621 8.895
O 7.133 6.383 5.615
O 5.078 2.765 12.629
O 4.173 0.181 1.260
O 8.299 7.312 3.332
O 4.181 0.101 8.360
O 5.003 1.370 10.394
O 6.297 3.562 10.315
O 7.141 4.933 3.214
O 5.576 1.647 5.482
O 8.297 6.399 12.695
O 6.807 2.425 3.286
O 9.734 7.317 10.544
O 8.403 4.948 10.543
O 10.486 8.498 3.382
O 8.355 4.180 5.434
O 7.691 2.959 12.563
O 9.768 6.466 5.384
O 6.484 0.514 12.659
O 7.682 1.271 10.490
O 9.841 5.014 3.238
O 11.016 6.496 12.733
O 8.292 1.698 5.425
O 11.828 7.870 5.605
O 9.068 2.957 7.547
O 9.046 2.772 0.486
O 9.877 4.164 12.602
O 11.015 5.048 10.335
O 8.217 0.125 3.296
O 12.830 7.779 8.857
O 11.635 5.664 6.913
O 12.900 7.438 11.401
O 11.959 5.681 4.402
O 13.022 7.518 13.924
O 11.979 5.566 1.847
O 10.526 2.883 5.475
O 9.809 1.609 12.657
O 11.129 2.536 10.506
```

Calculated values
Electronic total energy: -7.048 eV/atom
Symmetry: P1, No. 1

Compound: Li13MgNi12O26
Source: the Materials Project
Functional: PBE with a Hubbard U
Structure: optimized geometry

```
52
Lattice="7.596 0.000 0.000 0.123 7.730 0.000 1.963 1.993 7.515" Properties=species:S:1:pos:R:3 pbc="T T T"
Li 0.000 0.000 0.000
Li 1.416 3.743 2.892
Li 2.778 7.499 5.795
Li 2.063 1.491 1.161
Li 3.449 5.272 4.041
Li 4.848 8.982 6.939
Li 4.132 2.981 2.328
Li 5.551 6.743 5.187
Li 4.835 0.741 0.576
Li 6.234 4.451 3.475
Li 7.620 8.232 6.354
Li 6.904 2.224 1.721
Li 8.266 5.980 4.623
Mg 0.982 0.997 3.758
Ni 2.374 4.739 6.646
Ni 1.773 6.499 2.019
Ni 3.071 2.503 4.918
Ni 2.479 4.237 0.293
Ni 3.854 8.002 3.173
Ni 5.143 3.987 6.070
Ni 4.539 5.736 1.446
Ni 5.829 1.721 4.342
Ni 7.204 5.486 7.222
Ni 6.611 7.220 2.598
Ni 7.910 3.224 5.496
Ni 7.308 4.984 0.870
O 1.566 1.580 5.603
O 1.839 4.220 4.895
O 0.947 3.268 0.883
O 1.259 5.933 0.284
O 2.334 7.015 3.765
O 2.613 2.014 3.143
O 3.618 3.042 6.667
O 3.907 5.709 6.056
O 3.005 4.789 2.039
O 3.316 7.461 1.417
O 4.405 8.519 4.935
O 4.622 3.452 4.327
O 3.716 2.529 0.301
O 5.967 7.194 7.214
O 5.060 6.272 3.189
O 5.277 1.204 2.580
O 6.367 2.262 6.098
O 6.678 4.934 5.476
O 5.775 4.015 1.459
O 6.064 6.681 0.849
O 7.070 7.709 4.372
O 7.349 2.708 3.750
O 8.423 3.790 7.231
O 8.736 6.456 6.632
O 7.844 5.503 2.620
O 8.116 8.143 1.913
```

Calculated values
Electronic total energy: -4.945 eV/atom
Symmetry: P-1, No. 2

Compound: Ba2NiN6O12
Source: the Materials Project
Functional: PBE with a Hubbard U
Structure: optimized geometry

```
21
Lattice="0.000 5.177 5.177 5.177 0.000 5.177 5.177 5.177 0.000" Properties=species:S:1:pos:R:3 pbc="T T T"
Ba 2.589 2.589 2.589
Ba 7.766 7.766 7.766
Ni 0.000 0.000 0.000
N 5.177 5.177 1.910
N 5.177 1.910 5.177
N 8.444 5.177 5.177
N 1.910 5.177 5.177
N 5.177 8.444 5.177
N 5.177 5.177 8.444
O 6.898 1.720 5.177
O 3.457 3.457 0.000
O 1.720 0.000 1.720
O 5.177 8.634 6.898
O 3.457 0.000 3.457
O 5.177 1.720 3.457
O 0.000 1.720 1.720
O 8.634 5.177 6.898
O 8.634 6.898 5.177
O 0.000 3.457 3.457
O 1.720 5.177 3.457
O 1.720 3.457 5.177
```

Calculated values
Electronic total energy: -4.693 eV/atom
Symmetry: Fm-3m, No. 225

Compound: MoP2O8
Source: the Materials Project
Functional: PBE with a Hubbard U
Structure: optimized geometry

```
22
Lattice="4.954 0.000 0.000 0.000 7.544 0.000 0.000 0.000 7.936" Properties=species:S:1:pos:R:3 pbc="T T T"
Mo 0.000 0.000 1.774
Mo 2.477 3.772 6.162
P 1.221 6.721 5.079
P 1.256 2.949 2.857
P 3.698 4.596 2.857
P 3.733 0.823 5.079
O 0.000 0.000 5.723
O 0.000 3.772 2.316
O 1.093 6.774 0.712
O 1.138 6.695 3.588
O 1.206 1.615 2.146
O 1.271 5.387 5.790
O 1.339 2.923 4.348
O 1.384 3.002 7.224
O 2.477 0.000 5.621
O 2.477 3.772 2.213
O 3.570 4.542 7.224
O 3.615 4.622 4.348
O 3.683 2.157 5.790
O 3.748 5.929 2.146
O 3.816 0.849 3.588
O 3.861 0.770 0.712
```

Calculated values
Electronic total energy: -7.105 eV/atom
Symmetry: P2_12_12, No. 18

Compound: Li2Mn3FeO8
Source: the Materials Project
Functional: PBE with a Hubbard U
Structure: optimized geometry

```
28
Lattice="5.806 0.000 0.000 -2.898 5.193 0.000 -0.007 -0.016 9.474" Properties=species:S:1:pos:R:3 pbc="T T T"
Li 0.000 0.000 0.000
Li -0.039 0.068 4.744
Li -0.019 3.498 5.784
Li 2.893 1.763 1.048
Mn -1.448 4.343 2.714
Mn -0.019 1.795 2.661
Mn 1.461 0.912 7.443
Mn 1.410 4.343 2.708
Mn 2.891 3.445 7.394
Mn 4.311 0.908 7.445
Fe -0.008 3.533 0.054
Fe 2.884 1.727 4.781
O -0.016 0.172 6.505
O -1.315 2.781 1.561
O -0.014 1.691 8.536
O -1.490 4.392 8.459
O 1.387 0.850 3.728
O -0.018 3.654 3.777
O -0.020 5.023 1.570
O 1.287 2.780 1.559
O 1.586 2.474 6.298
O 2.886 0.233 6.306
O 2.886 1.604 8.515
O 1.466 4.400 8.471
O 4.363 0.852 3.715
O 2.882 3.566 3.794
O 4.190 2.464 6.290
O 2.886 5.072 1.757
```

Calculated values
Electronic total energy: -6.737 eV/atom
Symmetry: P1, No. 1